Record 1
A relaxed structure of Pr2Ti2O7, computed with GGA-PBE.

The structure in extended XYZ format:
```
44
Lattice="-4.7810 -2.0643 -1.9482 3.3532 -6.9232 -0.8932 -2.7090 -5.0512 12.0002" Properties=species:S:1:pos:R:3 pbc="T T T"
Pr -3.7128 -4.4889 3.7763
Pr 0.6666 -9.0788 5.8268
Pr -2.2289 -7.8827 2.6243
Pr -1.4840 -5.9729 6.7071
Pr -0.6067 -2.5283 0.3889
Pr -3.4167 -11.4614 8.8160
Pr 0.8876 -6.1037 0.3294
Pr -5.0200 -7.9331 8.8311
Ti -0.4257 -4.9304 3.1568
Ti -3.1959 -8.8858 6.2119
Ti 1.2704 -8.4776 2.6138
Ti -4.9759 -5.3748 6.7207
Ti -2.2663 -5.4068 -0.3752
Ti -1.7286 -8.5706 9.5918
Ti -0.5847 -8.8261 -0.8464
Ti -3.3907 -5.1428 10.0710
O -1.6705 -3.3645 2.9399
O -2.9228 -10.8712 6.0329
O 0.7380 -6.4974 2.7963
O -3.8565 -7.1016 6.7774
O -1.7577 -5.8983 4.1319
O -3.8641 -8.7815 4.4218
O -0.2582 -9.0566 3.5349
O -5.5224 -5.6918 4.9540
O -4.1735 -6.4365 2.5412
O -1.5417 -8.2837 5.9743
O -2.4936 -10.3724 2.2102
O -3.4500 -4.4463 6.2123
O 0.6922 -4.0233 1.6832
O -2.9695 -9.2125 8.2333
O 2.5335 -7.8011 1.2232
O -4.7772 -5.4201 8.7070
O -0.6815 -10.2568 9.6265
O -2.8207 -3.5078 -0.2092
O -3.1047 -7.1480 10.0090
O -1.7654 -7.2073 -1.1491
O -7.1939 -7.2758 9.8074
O 0.8547 -7.7138 -1.5461
O -5.7719 -10.1965 9.4034
O -0.5727 -4.7955 -1.1443
O -1.8941 -4.7876 9.0861
O -0.2349 -8.3841 0.8908
O -0.6301 -7.4192 8.7013
O -1.5418 -5.7711 1.2581
```

Results
E (MP2020) in eV/f.u.: -100.88
Formation enthalpy at 0 K in eV per atom: -3.72


Record 2
A relaxed structure of Si6Bi9O26, computed with GGA-PBE.

The structure in extended XYZ format:
```
41
Lattice="4.8725 -8.4395 0.0000 4.8725 8.4395 0.0000 0.0000 0.0000 7.0830" Properties=species:S:1:pos:R:3 pbc="T T T"
Si 2.0920 -3.2078 1.7506
Si 3.1894 5.1015 5.3386
Si 3.7323 0.2114 5.3386
Si 5.9211 -0.2078 1.7506
Si 6.6046 -5.0239 1.7506
Si 7.6959 3.1266 5.3386
Bi 1.1966 1.9706 5.1988
Bi 2.3256 -0.1998 1.7019
Bi 3.8828 -6.3256 1.7019
Bi 4.8725 2.8132 7.0794
Bi 4.8725 -2.8132 6.7628
Bi 4.8725 2.8132 3.4572
Bi 5.9809 6.4179 5.1988
Bi 7.4402 0.0509 5.1988
Bi 8.4093 -1.9141 1.7019
O 1.9337 -2.1242 2.9919
O 2.0931 -2.1426 0.4732
O 2.8535 0.8242 6.6160
O 2.8844 0.7947 4.0291
O 3.1668 3.4426 5.3351
O 3.2621 2.7787 1.7646
O 3.4505 -4.0950 1.6373
O 3.8461 -1.3968 5.3602
O 4.1596 5.5562 6.6160
O 4.1592 -4.4103 5.3602
O 4.1185 5.5442 4.0291
O 4.4735 -0.9407 1.6373
O 0.0000 0.0000 5.0396
O 0.0000 0.0000 1.4836
O 5.1803 1.0212 5.3351
O 5.6815 -5.5555 0.4732
O 5.7076 1.4357 1.7646
O 5.6479 4.2251 1.7646
O 5.7454 -5.7028 2.9919
O 6.2705 3.9757 5.3351
O 6.6124 -2.6324 5.3602
O 6.6937 -3.4038 1.6373
O 6.8430 -0.7414 0.4732
O 6.9386 -0.6125 2.9919
O 7.6147 2.1006 4.0291
O 7.6046 2.0591 6.6160
```

Results
Energy above the most stable polymorph in this dataset in meV/atom: 14
Magnetic moment in μB/f.u.: 1.01
E (MP2020) in eV/f.u.: -291.50
Formation enthalpy at 0 K in eV per atom: -2.32


Record 3
A relaxed structure of Sr3Sc, computed with GGA-PBE.

The structure in extended XYZ format:
```
4
Lattice="5.6413 2.7055 3.1326 1.2693 6.5286 -2.1735 -5.7305 -3.2140 2.4060" Properties=species:S:1:pos:R:3 pbc="T T T"
Sr 1.6831 2.0542 3.0091
Sr -0.5030 3.9658 0.3561
Sr 3.4553 4.6170 0.4796
Sc 0.0000 0.0000 0.0000
```

Results
Magnetic moment in μB/f.u.: 1.00
Formation enthalpy at 0 K in eV per atom: 0.29


Record 4
A relaxed structure of TaReO6, computed with GGA-PBE.

The structure in extended XYZ format:
```
16
Lattice="7.5079 0.0000 0.0000 0.0000 5.2928 0.0000 0.0000 0.0069 5.4242" Properties=species:S:1:pos:R:3 pbc="T T T"
Ta 0.0000 0.0035 2.7121
Ta 3.7539 0.0035 2.7121
Re 0.0000 2.6464 0.0000
Re 3.7539 2.6464 0.0000
O 3.4337 1.1815 1.1132
O 4.0456 3.7278 1.4957
O 4.0742 4.1183 4.3110
O 0.2916 1.5719 3.9286
O 1.8770 4.8375 2.8001
O 3.4623 1.5719 3.9286
O 7.2162 3.7278 1.4957
O 0.3202 1.1815 1.1132
O 5.6309 2.2289 5.3817
O 7.1876 4.1183 4.3110
O 1.8770 3.0708 0.0425
O 5.6309 0.4623 2.6241
```

Results
Magnetic moment in μB/f.u.: 0.00
E (MP2020) in eV/f.u.: -74.49
Formation enthalpy at 0 K in eV per atom: -2.56


Record 5
A relaxed structure of Ba3U2P4O20, computed with GGA-PBE.

The structure in extended XYZ format:
```
58
Lattice="8.9039 0.0000 0.0000 0.0000 9.6351 0.0000 0.0000 1.3883 10.6401" Properties=species:S:1:pos:R:3 pbc="T T T"
Ba 0.0000 4.8175 0.0000
Ba 4.4520 5.5117 5.3201
Ba 1.5199 2.4362 4.4290
Ba 5.9719 7.8931 0.8911
Ba 7.3840 8.5872 6.2111
Ba 2.9320 3.1303 9.7490
U 1.9302 8.3491 1.9932
U 6.3821 1.9802 3.3268
U 6.9738 2.6743 8.6469
U 2.5218 9.0432 7.3133
P 8.5962 1.4175 1.2406
P 4.1442 8.9118 4.0795
P 0.3077 9.6059 9.3996
P 4.7597 2.1116 6.5606
P 2.9822 4.8362 1.7483
P 7.4342 5.4931 3.5718
P 5.9217 6.1872 8.8918
P 1.4698 5.5303 7.0683
O 2.9999 9.8455 3.6098
O 7.4519 0.4837 1.7102
O 5.9040 1.1779 7.0303
O 1.4521 10.5396 8.9299
O 3.8941 7.5819 3.3041
O 8.3460 2.7474 2.0160
O 5.0099 3.4415 7.3360
O 0.5579 8.2760 8.6241
O 0.3168 7.9487 0.2878
O 4.7687 2.3806 5.0322
O 8.5872 3.0747 10.3523
O 4.1352 8.6428 5.6079
O 1.0991 0.8652 1.6110
O 5.5510 9.4641 3.7091
O 7.8049 10.1582 9.0291
O 3.3529 1.5593 6.9310
O 2.0552 6.0834 1.5745
O 6.5072 4.2459 3.7455
O 6.8487 4.9400 9.0656
O 2.3967 6.7775 6.8946
O 4.4415 5.2423 1.3899
O 8.8934 5.0869 3.9301
O 4.4625 5.7811 9.2502
O 0.0105 5.9364 6.7100
O 2.4067 3.7117 0.8840
O 6.8586 6.6175 4.4361
O 6.4973 7.3116 9.7561
O 2.0453 4.4059 6.2040
O 3.0654 4.4303 3.2336
O 7.5174 5.8989 2.0864
O 5.8385 6.5931 7.4065
O 1.3865 5.1244 8.5537
O 3.2448 8.7726 0.7562
O 7.6967 1.5567 4.5639
O 5.6592 2.2508 9.8840
O 1.2072 9.4667 6.0762
O 0.6796 8.0524 3.2681
O 5.1315 2.2769 2.0520
O 8.2244 2.9710 7.3720
O 3.7724 8.7465 8.5881
```

Results
Magnetic moment in μB/f.u.: 2.00
E (MP2020) in eV/f.u.: -239.66
Formation enthalpy at 0 K in eV per atom: -3.13


Record 6
A relaxed structure of PrFe2Ge2, computed with GGA-PBE.

The structure in extended XYZ format:
```
5
Lattice="4.0540 0.0000 0.0000 0.0000 4.0540 0.0000 -2.0270 -2.0270 5.4128" Properties=species:S:1:pos:R:3 pbc="T T T"
Pr 0.0000 0.0000 0.0000
Fe 2.0270 0.0000 2.7064
Fe 0.0000 2.0270 2.7064
Ge 2.0270 2.0270 1.3257
Ge 0.0000 0.0000 4.0871
```

Results
Formation enthalpy at 0 K in eV per atom: -0.43


Record 7
A relaxed structure of Hf6Al16Ir7, computed with GGA-PBE.

The structure in extended XYZ format:
```
29
Lattice="0.0000 6.1621 6.1621 6.1621 0.0000 6.1621 6.1621 6.1621 0.0000" Properties=species:S:1:pos:R:3 pbc="T T T"
Hf 3.8695 6.1621 6.1621
Hf 8.4548 6.1621 6.1621
Hf 6.1621 3.8695 6.1621
Hf 6.1621 8.4548 6.1621
Hf 6.1621 6.1621 3.8695
Hf 6.1621 6.1621 8.4548
Al 4.1595 4.1595 4.1595
Al 8.1648 8.1648 8.1648
Al 8.1648 8.1648 4.1595
Al 8.1648 4.1595 8.1648
Al 4.1595 4.1595 8.1648
Al 4.1595 8.1648 4.1595
Al 4.1595 8.1648 8.1648
Al 8.1648 4.1595 4.1595
Al 1.4741 1.4741 1.4741
Al 10.8501 10.8501 10.8501
Al 4.6880 4.6880 1.4741
Al 4.6880 1.4741 4.6880
Al 7.6363 7.6363 10.8501
Al 7.6363 10.8501 7.6363
Al 1.4741 4.6880 4.6880
Al 10.8501 7.6363 7.6363
Ir 0.0000 3.0811 3.0811
Ir 6.1621 3.0811 3.0811
Ir 3.0811 0.0000 3.0811
Ir 3.0811 6.1621 3.0811
Ir 3.0811 3.0811 0.0000
Ir 3.0811 3.0811 6.1621
Ir 0.0000 0.0000 0.0000
```

Results
Formation enthalpy at 0 K in eV per atom: -0.82


Record 8
A relaxed structure of SiNi3W2, computed with GGA-PBE.

The structure in extended XYZ format:
```
12
Lattice="-1.9608 2.3670 -3.5828 -2.7342 -1.5374 3.5277 1.1106 6.5317 3.7073" Properties=species:S:1:pos:R:3 pbc="T T T"
Si -1.2539 -0.1128 0.5744
Si -3.5691 0.2963 0.5472
Ni -2.5941 -0.8298 2.2392
Ni -2.8813 4.2162 1.2087
Ni -0.5718 3.8081 1.2359
Ni -1.5365 4.9714 -0.5246
Ni -1.6982 3.9159 -2.6445
Ni -1.1227 7.3002 -0.7236
W -1.7167 4.2314 3.6844
W -1.3224 6.3384 1.8057
W -2.0085 2.3029 -0.4848
W -2.1241 1.8357 2.3246
```

Results
Energy above the most stable polymorph in this dataset in meV/atom: 69
Magnetic moment in μB/f.u.: 0.00
Formation enthalpy at 0 K in eV per atom: -0.23


Record 9
A relaxed structure of Ca10Pr4Cu24O41, computed with GGA-PBE.

The structure in extended XYZ format:
```
158
Lattice="-5.0009 3.2449 6.1294 -6.1611 -1.6778 -5.6863 -3.1511 -25.5415 10.9507" Properties=species:S:1:pos:R:3 pbc="T T T"
Ca -4.9365 -17.2332 9.3530
Ca -4.5961 -12.9446 4.2007
Ca -4.4419 -13.5475 7.8132
Ca -9.7171 -11.0298 7.1932
Ca -5.8662 -23.9811 8.8344
Ca -8.8666 -3.6895 4.0962
Ca -2.7477 0.9837 1.5037
Ca -3.5908 -6.3251 4.6763
Ca -8.4144 0.5834 -1.0605
Ca -9.8712 -10.4269 3.5807
Ca -9.3767 -6.7412 2.0408
Ca -11.1592 -21.9774 11.9849
Ca -10.3101 -13.9843 5.1058
Ca -3.1540 -1.9970 -0.5910
Ca -3.6412 -5.6515 1.0236
Ca -10.6720 -18.3229 10.3702
Ca -10.7224 -17.6493 6.7176
Ca -4.0031 -9.9901 6.2880
Ca -8.4470 0.0067 2.5594
Ca -5.4466 -20.2849 7.2976
Pr -3.9995 -9.3043 2.6611
Pr -5.3081 -20.9426 10.8545
Pr -9.4136 -7.3743 5.6047
Pr -9.0050 -3.0318 0.5394
Pr -3.0571 -2.6970 3.0318
Pr -11.2560 -21.2774 8.3620
Pr -10.3137 -14.6701 8.7327
Pr -4.8996 -16.6001 5.7892
Cu -5.0630 -3.5998 5.4943
Cu -6.8600 -18.1657 11.7393
Cu -8.4175 -22.2075 10.0788
Cu -5.9463 -10.8650 8.6625
Cu -8.1006 -19.6393 8.9777
Cu -8.3668 -13.1094 2.7313
Cu -1.7316 -14.0358 6.0177
Cu -5.8649 -7.8579 0.3524
Cu -2.6773 -21.7008 9.3040
Cu -7.0942 -5.1409 6.3358
Cu -2.0494 -16.6114 7.1220
Cu -6.7512 -15.1331 3.4859
Cu -7.4532 -5.8087 -0.3454
Cu -7.7881 -17.1059 7.8915
Cu -8.9417 -19.7477 12.5899
Cu -8.4482 -16.1165 11.0415
Cu -7.4712 -14.5377 6.7904
Cu -2.3633 -19.1561 8.2130
Cu -0.4738 -3.8406 1.6466
Cu -7.5619 -8.8413 7.9079
Cu -5.8957 -1.7669 1.3151
Cu -7.0063 -2.1054 -1.9168
Cu -7.3069 -21.8690 13.3106
Cu -9.7154 -24.0641 7.4978
Cu -9.2502 -20.3746 5.8995
Cu -4.9603 -0.5957 -2.8167
Cu -4.5978 0.0896 3.8960
Cu -1.1017 -8.9301 3.8287
Cu -7.6219 -22.4680 6.6247
Cu -6.5251 -6.8685 3.5023
Cu -6.6912 -1.5064 4.7691
Cu -8.8451 -16.7310 4.3546
Cu -6.2125 -4.3352 2.4162
Cu -1.4195 -11.5057 4.9330
Cu -7.1566 -11.9872 5.6969
Cu -5.5810 0.7835 0.2216
Cu -5.4681 -7.2434 7.0392
Cu -6.8419 -9.4367 4.6034
Cu -6.3092 -11.5503 1.9498
Cu -6.3687 -14.5436 10.1691
Cu -6.2017 2.1628 3.2599
Cu -7.2190 -18.8335 5.0580
Cu -8.0039 -12.4241 9.4440
Cu -0.7878 -6.3854 2.7377
Cu -2.9950 -24.2765 10.4083
Cu -7.9445 -9.4308 1.2247
Cu -0.1561 -1.2650 0.5424
Cu -5.3715 -4.2267 -1.1961
O -7.7694 -7.6171 0.4105
O -7.2381 -3.9229 -1.0733
O -4.7753 -3.3653 1.5871
O -8.1862 -11.2565 1.9913
O -4.5227 -14.7693 10.0925
O -7.3544 -20.6673 5.8068
O -6.5438 -16.3573 10.9833
O -10.7260 -6.2156 3.8953
O -5.1327 -2.4136 -1.9927
O -1.3147 0.1135 -0.1136
O -3.6293 -7.5273 6.9876
O -4.2947 1.8909 3.1745
O -3.2102 -15.1210 6.5646
O -6.3037 -15.9361 7.5422
O -5.1936 -5.4136 6.2913
O -5.3159 -18.9575 4.9250
O -7.8326 -24.2980 7.3901
O -9.2506 -18.1892 8.4864
O -6.8673 -0.3238 -2.7313
O -3.9964 -8.2619 0.3394
O -7.2408 -23.6214 10.7136
O -6.0043 -13.4949 6.0506
O -10.1570 -1.1538 1.4276
O -11.1029 -8.8534 4.8292
O -12.3435 -19.1641 8.9438
O -6.6381 -18.5560 8.3827
O -9.1804 -21.5609 13.3865
O -4.9918 -18.5712 11.7226
O -4.4185 -11.6840 1.8066
O -6.9632 -16.9534 4.3286
O -4.1562 -22.8206 9.9662
O -7.8552 -10.6012 8.7286
O -4.0760 -11.1483 8.5400
O -8.0094 -8.0383 3.8516
O -6.4805 0.3236 4.0037
O -10.4484 -3.8036 2.3582
O -6.0669 -9.6881 1.2137
O -5.6758 -9.0609 7.8346
O -5.7849 -22.7594 6.5551
O -3.5273 -4.4599 -1.2907
O -4.4019 -0.6106 0.8479
O -9.1195 -18.5609 5.1025
O -8.7597 -17.9048 11.8456
O -4.8203 -1.7753 4.6314
O -1.6263 -2.3148 1.1745
O -4.8937 -15.5353 3.4578
O -6.9588 -3.3071 5.5870
O -11.7242 -13.8890 6.9882
O -9.9112 -23.3638 10.5459
O -6.4579 -13.3732 2.6652
O -7.0723 -0.3530 0.6802
O -7.3406 -2.7986 2.1706
O -9.8474 1.4536 0.5568
O -5.6920 -10.9642 4.9656
O -2.8578 -12.5196 5.6920
O -3.0806 -0.8389 -2.8431
O -5.3499 -8.2052 4.2276
O -5.4140 -21.9934 13.1898
O -8.6374 -14.9135 3.5593
O -12.6868 -21.6597 10.2193
O -3.5872 -17.7588 7.4986
O -8.9632 -15.7692 7.1662
O -3.1602 -3.7254 5.3575
O -9.4929 -22.1991 6.7625
O -7.0750 -20.0516 12.4671
O -2.5890 -10.0854 4.4057
O -3.8648 -20.1708 9.0356
O -5.5535 -6.0696 -0.4518
O -11.9820 -16.3966 8.2603
O -5.0626 -5.7852 2.9074
O -9.5379 -20.6092 9.8067
O -8.2463 -14.2863 10.1802
O -6.9726 -21.1758 9.2232
O -11.4554 -11.4548 5.7018
O -2.7380 -0.3032 3.8903
O -1.9697 -4.8103 2.4500
O -2.3311 -7.5778 3.1336
O -7.6750 -5.4184 3.0111
O -8.6211 -13.0102 6.4282
O -6.1270 -12.7180 9.4025
O -8.3089 -10.4795 5.3432
O -7.3500 -7.0210 7.0652
```

Results
Magnetic moment in μB/f.u.: 0.40
E (MP2020) in eV/f.u.: -487.35
Formation enthalpy at 0 K in eV per atom: -1.86